! CaCd3O4 (GGA-PBE, optimized geometry); values from VASP
! - space-group type = P4/mmm
! - ΔH_f (0 K) (eV per atom) = -1.860
! - E (MP2020) (eV/atom) = -4.931
! - electronic total energy (eV per atom) = -4.5872
! - distance to the lowest polymorph of the same formula (kcal/mol of atoms) = 0.068
&SYSTEM
  ibrav = 0, nat = 8, ntyp = 3
/
ATOMIC_SPECIES
Ca 40.08 Ca.upf
Cd 112.41 Cd.upf
O 16.00 O.upf
CELL_PARAMETERS angstrom
3.3962 0.0000 0.0000
0.0000 3.3962 0.0000
0.0000 0.0000 9.5453
ATOMIC_POSITIONS angstrom
Ca 0.0000 0.0000 0.0000
Cd 0.0000 0.0000 4.7727
Cd 1.6981 1.6981 2.4147
Cd 1.6981 1.6981 7.1306
O 0.0000 0.0000 2.3913
O 0.0000 0.0000 7.1540
O 1.6981 1.6981 0.0000
O 1.6981 1.6981 4.7727

***

! CaCd3O4 (GGA-PBE, optimized geometry); values from VASP
! - space-group type = Cmmm
! - ΔH_f (0 K) (eV per atom) = -1.863
! - E (MP2020) (eV/atom) = -4.934
! - electronic total energy (eV per atom) = -4.5902
! - distance to the lowest polymorph of the same formula (kcal/mol of atoms) = 0.000
&SYSTEM
  ibrav = 0, nat = 8, ntyp = 3
/
ATOMIC_SPECIES
Ca 40.08 Ca.upf
Cd 112.41 Cd.upf
O 16.00 O.upf
CELL_PARAMETERS angstrom
3.3709 -4.7935 0.0000
3.3709 4.7935 0.0000
0.0000 0.0000 3.4119
ATOMIC_POSITIONS angstrom
Ca 0.0000 0.0000 0.0000
Cd 1.6855 2.3967 1.7060
Cd 1.6855 -2.3967 1.7060
Cd 3.3709 0.0000 0.0000
O 1.6695 0.0000 1.7060
O 3.3709 2.3981 0.0000
O 3.3709 -2.3981 0.0000
O 5.0723 0.0000 1.7060

***

! Ca3CdO4 (GGA-PBE, optimized geometry); values from VASP
! - space-group type = Cmmm
! - ΔH_f (0 K) (eV per atom) = -2.836
! - E (MP2020) (eV/atom) = -6.177
! - electronic total energy (eV per atom) = -5.8338
&SYSTEM
  ibrav = 0, nat = 8, ntyp = 3
/
ATOMIC_SPECIES
Ca 40.08 Ca.upf
Cd 112.41 Cd.upf
O 16.00 O.upf
CELL_PARAMETERS angstrom
3.3954 -4.8188 0.0000
3.3954 4.8188 0.0000
0.0000 0.0000 3.4227
ATOMIC_POSITIONS angstrom
Ca 0.0000 0.0000 0.0000
Ca 1.6977 2.4094 1.7114
Ca 1.6977 -2.4094 1.7114
Cd 3.3954 0.0000 0.0000
O 1.6677 0.0000 1.7114
O 3.3954 2.4404 0.0000
O 3.3954 -2.4404 0.0000
O 5.1230 0.0000 1.7114